1.
Density functional theory data (GGA-PBE) for a geometry-optimized Li3Ta7O19 structure.

* energy: -523.00 eV per cell
* ΔE_f: -3.166 eV per atom
* density: 7.6 g cm⁻³

Cell lengths 6.3010, 6.3010, 20.1685 Å; angles 90.00, 90.00, 120.00 degrees
Last column: nearest neighbours and their distance in Å.
Space group P6_3/m (No. 176)
Symmetry-distinct sites (fractional):
Li 0.0000 0.5000 0.0000 [6 per cell]  2 O 1.87
Ta 0.0000 0.0000 0.0000 [2 per cell]  6 O 2.01
Ta 0.0293 0.3344 0.1549 [12 per cell]  6 O 1.93-2.05
O 0.0000 0.0000 0.1638 [4 per cell]  3 Ta 2.03
O 0.0404 0.2835 0.0549 [12 per cell]  1 Li 1.87, 2 Ta 2.01-2.05
O 0.0693 0.3639 0.2500 [6 per cell]  2 Ta 1.93
O 0.0859 0.4202 0.6503 [12 per cell]  2 Ta 2.01-2.03
O 0.3333 0.6667 0.1379 [4 per cell]  3 Ta 2.04



2.
Density functional theory data (GGA-PBE) for a geometry-optimized Sc5Cl8 structure.

* energy: -139.13 eV per cell
* ΔE_f: -2.156 eV per atom
* density: 2.5 g cm⁻³

Cell lengths 19.0985, 3.5597, 13.4822 Å; angles 90.00, 133.17, 90.00 degrees
Last column: nearest neighbours and their distance in Å.
Space group C2/m (No. 12)
Symmetry-distinct sites (fractional):
Sc 0.0000 0.0000 0.0000 [2 per cell]  6 Cl 2.52-2.63
Sc 0.0138 0.5000 0.3483 [4 per cell]  4 Cl 2.51-2.61
Sc 0.1119 0.0000 0.6181 [4 per cell]  4 Cl 2.63
Cl 0.0236 0.0000 0.2162 [4 per cell]  3 Sc 2.61-2.63
Cl 0.1271 0.5000 0.1070 [4 per cell]  2 Sc 2.52
Cl 0.1648 0.5000 0.8020 [4 per cell]  3 Sc 2.51-2.63
Cl 0.1864 0.5000 0.5688 [4 per cell]  3 Sc 2.51-2.63



3.
Density functional theory data (GGA-PBE) for a geometry-optimized EuC6N9 structure.

* energy: -554.57 eV per cell
* ΔE_f: -0.077 eV per atom
* density: 2.4 g cm⁻³

Cell lengths 8.0414, 11.4887, 10.4669 Å; angles 90.00, 90.00, 90.00 degrees
Last column: nearest neighbours and their distance in Å.
Space group Cmcm (No. 63)
Symmetry-distinct sites (fractional):
Eu 0.0000 0.2121 0.2500 [4 per cell]  6 N 2.54
C 0.1450 0.3581 0.5589 [16 per cell]  2 N 1.18-1.30
C 0.1463 0.0940 0.7500 [8 per cell]  2 N 1.18-1.30
N 0.0000 0.0459 0.7500 [4 per cell]  2 C 1.30
N 0.0000 0.3492 0.5050 [8 per cell]  2 C 1.30
N 0.2132 0.3753 0.2500 [8 per cell]  1 C 1.18
N 0.2154 0.1360 0.0938 [16 per cell]  1 C 1.18



4.
Density functional theory data (GGA-PBE) for a geometry-optimized SnH8Cl4O4 structure.

* energy: -605.07 eV per cell
* ΔE_f: -1.179 eV per atom
* density: 2.1 g cm⁻³

Cell lengths 24.8477, 6.9223, 12.0804 Å; angles 90.00, 93.30, 90.00 degrees
Last column: nearest neighbours and their distance in Å.
Space group Cc (No. 9)
Symmetry-distinct sites (fractional):
Sn 0.0000 0.1296 0.0000 [4 per cell]  2 O 2.17-2.18, 2 Cl 2.40-2.43
Sn 0.2536 0.3376 0.2507 [4 per cell]  2 O 2.19-2.21, 4 Cl 2.40-2.44
H 0.0840 0.1341 0.5021 [4 per cell]  1 O 1.01
H 0.0899 0.3932 0.6100 [4 per cell]  1 O 0.98
H 0.0955 0.0196 0.9027 [4 per cell]  1 O 1.00
H 0.1372 0.0615 0.7440 [4 per cell]  1 O 0.98
H 0.1471 0.3364 0.5754 [4 per cell]  1 O 0.98
H 0.1525 0.2311 0.8239 [4 per cell]  1 O 0.99
H 0.2137 0.0125 0.3458 [4 per cell]  1 O 1.00
H 0.2794 0.0070 0.8702 [4 per cell]  1 O 1.00
H 0.2792 0.4185 0.4698 [4 per cell]  1 O 0.98
H 0.3081 0.4138 0.9024 [4 per cell]  1 O 1.01
H 0.3332 0.1652 0.9992 [4 per cell]  1 O 0.98
H 0.3615 0.1644 0.8851 [4 per cell]  1 O 1.00
H 0.4234 0.1478 0.7380 [4 per cell]  1 O 0.99
H 0.4481 0.3875 0.8347 [4 per cell]  1 O 1.02
H 0.4519 0.0844 0.8525 [4 per cell]  1 O 0.99
H 0.4633 0.4013 0.2804 [4 per cell]  1 O 0.98
Cl 0.0306 0.3798 0.8769 [4 per cell]  1 H 2.42, 1 Sn 2.43
Cl 0.0525 0.2407 0.1609 [4 per cell]  1 Sn 2.40
Cl 0.1725 0.4346 0.3416 [4 per cell]  1 H 2.37, 1 Sn 2.44
Cl 0.2042 0.1824 0.0991 [4 per cell]  1 Sn 2.40
Cl 0.2634 0.3489 0.6633 [4 per cell]  1 Sn 2.43, 1 H 2.44
Cl 0.3400 0.2172 0.2001 [4 per cell]  1 Sn 2.41, 1 H 2.45
Cl 0.4184 0.1971 0.5414 [4 per cell]  1 H 2.40, 1 Sn 2.43
Cl 0.4722 0.3258 0.0795 [4 per cell]  1 Sn 2.43, 1 H 2.50
O 0.0667 0.0427 0.4450 [4 per cell]  2 H 1.00-1.01
O 0.1126 0.2818 0.5937 [4 per cell]  2 H 0.98
O 0.1492 0.0891 0.8211 [4 per cell]  2 H 0.98-0.99
O 0.2484 0.0854 0.3584 [4 per cell]  2 H 1.00
O 0.2980 0.4443 0.4018 [4 per cell]  2 H 0.98-1.01
O 0.3261 0.1808 0.9187 [4 per cell]  2 H 0.98-1.00
O 0.4255 0.1759 0.8181 [4 per cell]  2 H 0.99
O 0.4572 0.4706 0.3492 [4 per cell]  2 H 0.98-1.02



5.
Density functional theory data (GGA-PBE) for a geometry-optimized Rb2PrCuF6 structure.

* energy: -201.18 eV per cell
* ΔE_f: -3.074 eV per atom
* density: 4.2 g cm⁻³

Cell lengths 9.1596, 9.1596, 9.1596 Å; angles 90.00, 90.00, 90.00 degrees
Last column: nearest neighbours and their distance in Å.
Space group Fm-3m (No. 225)
Symmetry-distinct sites (fractional):
Rb 0.2500 0.2500 0.2500 [8 per cell]  12 F 3.24
Pr 0.0000 0.0000 0.0000 [4 per cell]  6 F 2.30
Cu 0.0000 0.0000 0.5000 [4 per cell]  6 F 2.28
F 0.0000 0.0000 0.2509 [24 per cell]  1 Cu 2.28, 1 Pr 2.30



6.
Density functional theory data (GGA-PBE) for a geometry-optimized Lu2Fe17 structure.

* energy: -307.13 eV per cell
* ΔE_f: -0.028 eV per atom
* density: 8.7 g cm⁻³

Cell lengths 8.3261, 8.3261, 8.2874 Å; angles 90.00, 90.00, 120.00 degrees
Last column: nearest neighbours and their distance in Å.
Space group P6_3/mmc (No. 194)
Symmetry-distinct sites (fractional):
Lu 0.0000 0.0000 0.2500 [2 per cell]  12 Fe 2.88-3.09
Lu 0.3333 0.6667 0.2500 [2 per cell]  20 Fe 2.93-3.17
Fe 0.0000 0.5000 0.0000 [6 per cell]  10 Fe 2.41-2.56
Fe 0.0314 0.3607 0.7500 [12 per cell]  8 Fe 2.45-2.58
Fe 0.1655 0.3309 0.0128 [12 per cell]  9 Fe 2.40-2.62
Fe 0.3333 0.6667 0.6077 [4 per cell]  7 Fe 2.36-2.62



7.
Density functional theory data (GGA-PBE) for a geometry-optimized SrBi2S4 structure.

* energy: -384.98 eV per cell
* ΔE_f: -1.154 eV per atom
* density: 5.6 g cm⁻³

Cell lengths 25.2891, 25.2891, 4.0943 Å; angles 90.00, 90.00, 120.00 degrees
Last column: nearest neighbours and their distance in Å.
Space group P6_3/m (No. 176)
Symmetry-distinct sites (fractional):
Sr 0.1208 0.7683 0.2500 [6 per cell]  8 S 3.07-3.31
Sr 0.2345 0.6792 0.2500 [6 per cell]  8 S 3.12-3.46
Bi 0.0226 0.1768 0.7500 [6 per cell]  4 S 2.69-2.96
Bi 0.0523 0.5929 0.7500 [6 per cell]  5 S 2.59-2.89
Bi 0.0592 0.3315 0.2500 [6 per cell]  5 S 2.63-2.93
Bi 0.1467 0.4974 0.7500 [6 per cell]  3 S 2.56-2.72
S 0.0001 0.3669 0.7500 [6 per cell]  4 Bi 2.89-2.93
S 0.0361 0.7797 0.7500 [6 per cell]  1 Bi 2.63
S 0.0609 0.1353 0.2500 [6 per cell]  3 Bi 2.69-2.72
S 0.0938 0.5468 0.2500 [6 per cell]  4 Bi 2.81-3.04
S 0.1187 0.3074 0.7500 [6 per cell]  3 Bi 2.78-2.96
S 0.1519 0.6978 0.7500 [6 per cell]  1 Bi 2.59
S 0.1808 0.4503 0.2500 [6 per cell]  3 Bi 2.72-3.04
S 0.2507 0.5954 0.7500 [6 per cell]  1 Bi 2.56



8.
Density functional theory data (GGA-PBE) for a geometry-optimized TbCuNi4 structure.

* energy: -33.71 eV per cell
* ΔE_f: -0.309 eV per atom
* density: 9.2 g cm⁻³

Cell lengths 4.8913, 4.8913, 3.9782 Å; angles 90.00, 90.00, 120.00 degrees
Last column: nearest neighbours and their distance in Å.
Space group P-6m2 (No. 187)
Symmetry-distinct sites (fractional):
Tb 0.0000 0.0000 0.0000 [1 per cell]  3 Cu 2.82, 15 Ni 2.82-3.15
Cu 0.3333 0.6667 0.0000 [1 per cell]  6 Ni 2.44
Ni 0.5008 0.0017 0.5000 [3 per cell]  6 Ni 2.43-2.46, 2 Cu 2.44
Ni 0.6667 0.3333 0.0000 [1 per cell]  6 Ni 2.44



9.
Density functional theory data (GGA-PBE) for a geometry-optimized BeH8N2F4 structure.

* energy: -300.56 eV per cell
* ΔE_f: -1.452 eV per atom
* density: 1.6 g cm⁻³

Cell lengths 7.9893, 5.8554, 11.0549 Å; angles 90.00, 90.00, 90.00 degrees
Last column: nearest neighbours and their distance in Å.
Space group Pnma (No. 62)
Symmetry-distinct sites (fractional):
Be 0.0563 0.2500 0.1613 [4 per cell]  3 F 1.55-1.60
H 0.0023 0.7500 0.2195 [4 per cell]  1 N 1.03
H 0.0114 0.2500 0.6267 [4 per cell]  1 N 1.06
H 0.0461 0.7500 0.5848 [4 per cell]  1 F 1.02
H 0.1559 0.1078 0.7062 [8 per cell]  1 N 1.03
H 0.1580 0.6125 0.9685 [8 per cell]  1 N 1.03
H 0.2408 0.7500 0.8531 [4 per cell]  1 N 1.03
N 0.0797 0.2500 0.7085 [4 per cell]  4 H 1.03-1.06
N 0.1411 0.7500 0.9115 [4 per cell]  3 H 1.03
F 0.0203 0.2500 0.3036 [4 per cell]  1 H 1.34
F 0.0888 0.7500 0.4983 [4 per cell]  1 H 1.02
F 0.1501 0.0241 0.1363 [8 per cell]  1 Be 1.55